# KV6S8

Crystalline KV6S8 at its relaxed geometry (PBE, Materials Project).

Cell: 3.262 9.196 9.204 Å, 60.03 90.00 90.00°
Sites, in units of the cell vectors:
K 0.000 0.000 0.000
V 0.249 0.491 0.625
V 0.249 0.625 0.884
V 0.249 0.884 0.491
V 0.751 0.116 0.509
V 0.751 0.375 0.116
V 0.751 0.509 0.375
S 0.251 0.333 0.333
S 0.253 0.347 0.950
S 0.253 0.703 0.347
S 0.253 0.950 0.703
S 0.747 0.050 0.297
S 0.747 0.297 0.653
S 0.747 0.653 0.050
S 0.749 0.667 0.667

Results
- E_form (eV/atom) = -1.302
- symmetry = P-1 (2)
- total energy (eV/atom) = -6.948



# CaMg6Si

Crystalline CaMg6Si at its relaxed geometry (PBE, Materials Project).

Cell: 5.034 6.139 11.981 Å, 90.00 90.00 90.00°
Sites, in units of the cell vectors:
Ca 0.500 0.000 0.179
Ca 0.500 0.500 0.679
Mg 0.500 0.250 0.428
Mg 0.500 0.750 0.428
Mg 0.000 0.744 0.079
Mg 0.000 0.256 0.079
Mg 0.000 0.000 0.343
Mg 0.000 0.500 0.318
Mg 0.500 0.750 0.928
Mg 0.500 0.250 0.928
Mg 0.000 0.244 0.579
Mg 0.000 0.756 0.579
Mg 0.000 0.500 0.843
Mg 0.000 0.000 0.818
Si 0.500 0.500 0.146
Si 0.500 0.000 0.646

Results
- E_form (eV/atom) = 0.018
- total energy (eV/atom) = -2.120
- M_tot (μB/f.u.) = 0.00



# KPbO2

Crystalline KPbO2 at its relaxed geometry (PBE, Materials Project).

Cell: 7.123 7.623 13.084 Å, 105.45 90.94 117.54°
Sites, in units of the cell vectors:
K 0.242 0.242 0.492
K 0.244 0.244 0.992
K 0.250 0.504 0.735
K 0.253 0.505 0.235
K 0.747 0.495 0.765
K 0.750 0.496 0.265
K 0.756 0.756 0.008
K 0.758 0.758 0.508
Pb 0.238 0.000 0.747
Pb 0.241 0.001 0.246
Pb 0.270 0.759 0.967
Pb 0.273 0.760 0.466
Pb 0.727 0.240 0.534
Pb 0.730 0.241 0.033
Pb 0.759 0.999 0.754
Pb 0.762 0.000 0.253
O 0.009 0.099 0.844
O 0.012 0.100 0.343
O 0.067 0.705 0.855
O 0.070 0.707 0.355
O 0.469 0.301 0.639
O 0.473 0.302 0.138
O 0.476 0.069 0.857
O 0.479 0.070 0.356
O 0.521 0.930 0.644
O 0.524 0.931 0.143
O 0.527 0.698 0.862
O 0.531 0.699 0.361
O 0.930 0.293 0.645
O 0.933 0.295 0.145
O 0.988 0.900 0.657
O 0.991 0.901 0.156

Results
- E_form (eV/atom) = -0.788
- symmetry = P-1 (2)
- total energy (eV/atom) = -4.124
- M_tot (μB/f.u.) = 0.00



# Sr2DyTaO6

Crystalline Sr2DyTaO6 at its relaxed geometry (PBE, Materials Project).

Cell: 5.858 5.933 10.160 Å, 90.00 124.93 90.00°
Sites, in units of the cell vectors:
Sr 0.243 0.036 0.251
Sr 0.243 0.464 0.751
Sr 0.757 0.536 0.249
Sr 0.757 0.964 0.749
Dy 0.500 0.000 0.000
Dy 0.500 0.500 0.500
Ta 0.000 0.000 0.500
Ta 0.000 0.500 0.000
O 0.149 0.225 0.954
O 0.149 0.275 0.454
O 0.233 0.697 0.959
O 0.233 0.803 0.459
O 0.315 0.024 0.735
O 0.315 0.476 0.235
O 0.685 0.524 0.765
O 0.685 0.976 0.265
O 0.767 0.197 0.541
O 0.767 0.303 0.041
O 0.851 0.725 0.546
O 0.851 0.775 0.046

Results
- E_form (eV/atom) = -3.603
- symmetry = P2_1/c (14)
- total energy (eV/atom) = -8.144
- M_tot (μB/f.u.) = 0.00



# Na2Sc4Ti4Si3S9O48

Crystalline Na2Sc4Ti4Si3S9O48 at its relaxed geometry (PBE, Materials Project).

Cell: 8.760 15.178 22.803 Å, 90.16 90.10 90.09°
Sites, in units of the cell vectors:
Na 0.000 0.000 0.000
Na 0.001 0.003 0.506
Na 0.011 0.668 0.336
Na 0.495 0.168 0.834
Na 0.504 0.501 0.005
Na 0.506 0.498 0.502
Sc 0.001 0.339 0.527
Sc 0.001 0.675 0.487
Sc 0.007 0.002 0.855
Sc 0.010 0.670 0.190
Sc 0.491 0.173 0.689
Sc 0.499 0.502 0.357
Sc 0.505 0.176 0.985
Sc 0.508 0.509 0.854
Sc 0.510 0.840 0.024
Sc 0.512 0.838 0.529
Sc 0.995 0.336 0.029
Sc 0.996 0.008 0.356
Ti 0.003 0.011 0.154
Ti 0.004 0.008 0.650
Ti 0.009 0.333 0.810
Ti 0.498 0.834 0.313
Ti 0.500 0.506 0.649
Ti 0.503 0.505 0.152
Ti 0.506 0.185 0.481
Ti 0.518 0.179 0.192
Ti 0.523 0.832 0.813
Ti 0.986 0.331 0.317
Ti 0.987 0.678 0.692
Ti 0.997 0.675 0.978
Si 0.151 0.146 0.754
Si 0.358 0.647 0.254
Si 0.359 0.319 0.588
Si 0.644 0.320 0.088
Si 0.647 0.647 0.752
Si 0.712 0.340 0.422
Si 0.792 0.841 0.921
Si 0.857 0.151 0.254
Si 0.863 0.819 0.588
S 0.144 0.482 0.419
S 0.144 0.816 0.086
S 0.150 0.193 0.420
S 0.151 0.528 0.085
S 0.151 0.859 0.752
S 0.212 0.505 0.752
S 0.215 0.168 0.089
S 0.216 0.837 0.419
S 0.289 0.338 0.919
S 0.291 0.669 0.588
S 0.294 0.005 0.253
S 0.355 0.027 0.586
S 0.355 0.359 0.252
S 0.356 0.693 0.921
S 0.361 0.981 0.919
S 0.644 0.982 0.420
S 0.647 0.695 0.419
S 0.650 0.027 0.089
S 0.651 0.360 0.754
S 0.714 0.003 0.753
S 0.715 0.669 0.086
S 0.791 0.169 0.587
S 0.793 0.503 0.254
S 0.855 0.860 0.254
S 0.856 0.528 0.589
S 0.860 0.194 0.919
S 0.861 0.482 0.921
O 0.068 0.246 0.766
O 0.069 0.100 0.697
O 0.072 0.905 0.093
O 0.073 0.571 0.423
O 0.073 0.773 0.033
O 0.074 0.894 0.805
O 0.079 0.232 0.472
O 0.081 0.438 0.365
O 0.083 0.103 0.413
O 0.083 0.567 0.139
O 0.086 0.769 0.742
O 0.087 0.440 0.078
O 0.114 0.086 0.096
O 0.114 0.425 0.763
O 0.115 0.090 0.812
O 0.115 0.581 0.742
O 0.117 0.244 0.081
O 0.117 0.763 0.138
O 0.117 0.915 0.412
O 0.119 0.430 0.472
O 0.121 0.916 0.700
O 0.122 0.756 0.422
O 0.123 0.247 0.367
O 0.124 0.584 0.033
O 0.178 0.665 0.245
O 0.183 0.331 0.575
O 0.184 0.018 0.593
O 0.186 0.683 0.930
O 0.190 0.327 0.866
O 0.190 0.351 0.260
O 0.191 0.987 0.200
O 0.193 0.992 0.915
O 0.195 0.680 0.641
O 0.198 0.349 0.972
O 0.199 0.019 0.305
O 0.200 0.651 0.535
O 0.304 0.149 0.035
O 0.305 0.519 0.805
O 0.308 0.849 0.472
O 0.309 0.826 0.077
O 0.310 0.485 0.701
O 0.311 0.179 0.141
O 0.312 0.492 0.414
O 0.316 0.827 0.365
O 0.317 0.183 0.428
O 0.317 0.851 0.762
O 0.321 0.519 0.093
O 0.331 0.162 0.749
O 0.379 0.747 0.868
O 0.380 0.083 0.533
O 0.384 0.256 0.922
O 0.387 0.416 0.200
O 0.387 0.590 0.311
O 0.387 0.747 0.580
O 0.387 0.929 0.973
O 0.389 0.082 0.241
O 0.390 0.416 0.913
O 0.390 0.925 0.261
O 0.391 0.589 0.595
O 0.392 0.259 0.643
O 0.416 0.938 0.577
O 0.420 0.603 0.915
O 0.421 0.269 0.241
O 0.424 0.064 0.639
O 0.424 0.733 0.974
O 0.425 0.938 0.867
O 0.433 0.070 0.925
O 0.433 0.394 0.304
O 0.438 0.600 0.196
O 0.439 0.747 0.267
O 0.442 0.270 0.529
O 0.443 0.416 0.598
O 0.563 0.276 0.031
O 0.567 0.417 0.100
O 0.568 0.598 0.696
O 0.568 0.745 0.763
O 0.574 0.069 0.428
O 0.579 0.398 0.807
O 0.579 0.606 0.413
O 0.580 0.938 0.367
O 0.581 0.735 0.472
O 0.581 0.940 0.083
O 0.582 0.070 0.141
O 0.592 0.270 0.748
O 0.601 0.422 0.413
O 0.606 0.255 0.144
O 0.612 0.247 0.430
O 0.614 0.924 0.762
O 0.615 0.746 0.078
O 0.615 0.751 0.366
O 0.617 0.081 0.746
O 0.619 0.588 0.092
O 0.620 0.926 0.472
O 0.624 0.414 0.702
O 0.624 0.590 0.810
O 0.631 0.080 0.036
O 0.676 0.159 0.240
O 0.682 0.822 0.863
O 0.682 0.827 0.580
O 0.686 0.519 0.597
O 0.688 0.851 0.978
O 0.688 0.854 0.262
O 0.690 0.186 0.923
O 0.692 0.493 0.916
O 0.694 0.152 0.534
O 0.696 0.488 0.200
O 0.700 0.518 0.306
O 0.701 0.180 0.640
O 0.806 0.016 0.807
O 0.808 0.683 0.139
O 0.809 0.987 0.701
O 0.814 0.990 0.414
O 0.815 0.655 0.033
O 0.816 0.686 0.423
O 0.819 0.353 0.478
O 0.820 0.355 0.764
O 0.821 0.016 0.098
O 0.825 0.323 0.363
O 0.825 0.327 0.080
O 0.830 0.660 0.740
O 0.877 0.581 0.535
O 0.883 0.088 0.309
O 0.886 0.916 0.201
O 0.887 0.428 0.973
O 0.889 0.087 0.593
O 0.889 0.582 0.245
O 0.890 0.251 0.866
O 0.891 0.245 0.579
O 0.892 0.425 0.261
O 0.897 0.749 0.933
O 0.900 0.754 0.644
O 0.906 0.922 0.914
O 0.918 0.771 0.245
O 0.924 0.441 0.584
O 0.925 0.235 0.972
O 0.926 0.571 0.641
O 0.927 0.106 0.913
O 0.927 0.443 0.868
O 0.929 0.898 0.306
O 0.932 0.571 0.930
O 0.938 0.099 0.196
O 0.939 0.246 0.263
O 0.940 0.916 0.600
O 0.943 0.776 0.530

Results
- E_form (eV/atom) = -2.652
- symmetry = P1 (1)
- total energy (eV/atom) = -7.189
- M_tot (μB/f.u.) = 0.00



# TbGa2Co3

Crystalline TbGa2Co3 at its relaxed geometry (PBE, Materials Project).

Cell: 8.987 8.987 3.828 Å, 90.00 90.00 120.00°
Sites, in units of the cell vectors:
Tb 0.000 0.000 0.000
Tb 0.333 0.667 0.500
Tb 0.667 0.333 0.500
Ga 0.000 0.316 0.500
Ga 0.000 0.684 0.500
Ga 0.316 0.000 0.500
Ga 0.316 0.316 0.500
Ga 0.684 0.000 0.500
Ga 0.684 0.684 0.500
Co 0.000 0.500 0.000
Co 0.183 0.367 0.000
Co 0.183 0.817 0.000
Co 0.367 0.183 0.000
Co 0.500 0.000 0.000
Co 0.500 0.500 0.000
Co 0.633 0.817 0.000
Co 0.817 0.183 0.000
Co 0.817 0.633 0.000

Results
- E_form (eV/atom) = -0.374
- symmetry = P6/mmm (191)
- excess energy over the best structure of this formula in the dataset (meV per atom) = 9
- total energy (eV/atom) = -5.710
- M_tot (μB/f.u.) = 0.93



# NdCu4Ag

Crystalline NdCu4Ag at its relaxed geometry (PBE, Materials Project).

Cell: 5.129 5.129 5.129 Å, 60.00 60.00 60.00°
Sites, in units of the cell vectors:
Nd 0.000 0.000 0.000
Cu 0.377 0.377 0.377
Cu 0.377 0.377 0.869
Cu 0.377 0.869 0.377
Cu 0.869 0.377 0.377
Ag 0.750 0.750 0.750

Results
- E_form (eV/atom) = -0.190
- symmetry = F-43m (216)
- total energy (eV/atom) = -4.190



# TbZnNi

Crystalline TbZnNi at its relaxed geometry (PBE, Materials Project).

Cell: 7.035 7.035 3.783 Å, 90.00 90.00 120.00°
Sites, in units of the cell vectors:
Tb 0.000 0.591 0.000
Tb 0.409 0.409 0.000
Tb 0.591 0.000 0.000
Zn 0.000 0.242 0.500
Zn 0.242 0.000 0.500
Zn 0.758 0.758 0.500
Ni 0.000 0.000 0.000
Ni 0.333 0.667 0.500
Ni 0.667 0.333 0.500

Results
- E_form (eV/atom) = -0.456
- symmetry = P-62m (189)
- total energy (eV/atom) = -4.348



# MgCu3AsS4

Crystalline MgCu3AsS4 at its relaxed geometry (PBE, Materials Project).

Cell: 5.422 5.422 5.869 Å, 90.00 90.00 90.00°
Sites, in units of the cell vectors:
Mg 0.000 0.000 0.000
Cu 0.000 0.500 0.000
Cu 0.500 0.000 0.000
Cu 0.500 0.500 0.500
As 0.000 0.000 0.500
S 0.266 0.266 0.763
S 0.266 0.734 0.237
S 0.734 0.266 0.237
S 0.734 0.734 0.763

Results
- E_form (eV/atom) = -0.474
- symmetry = P-42m (111)
- excess energy over the best structure of this formula in the dataset (meV per atom) = 0
- total energy (eV/atom) = -4.151
- M_tot (μB/f.u.) = 0.00



# ZrPbO5

Crystalline ZrPbO5 at its relaxed geometry (PBE, Materials Project).

Cell: 6.645 7.867 7.959 Å, 92.22 93.85 103.18°
Sites, in units of the cell vectors:
Zr 0.000 0.000 0.000
Zr 0.003 0.975 0.476
Zr 0.058 0.508 0.997
Zr 0.950 0.461 0.475
Pb 0.342 0.845 0.748
Pb 0.377 0.315 0.266
Pb 0.480 0.844 0.221
Pb 0.549 0.501 0.708
O 0.087 0.723 0.549
O 0.096 0.066 0.247
O 0.105 0.267 0.994
O 0.111 0.996 0.750
O 0.199 0.812 0.016
O 0.227 0.355 0.496
O 0.285 0.559 0.803
O 0.308 0.899 0.453
O 0.368 0.559 0.155
O 0.518 0.179 0.765
O 0.551 0.127 0.245
O 0.629 0.794 0.700
O 0.632 0.448 0.459
O 0.653 0.204 0.906
O 0.668 0.362 0.985
O 0.709 0.878 0.028
O 0.737 0.826 0.388
O 0.880 0.522 0.759
O 0.903 0.199 0.533
O 0.962 0.513 0.234

Results
- E_form (eV/atom) = -1.459
- symmetry = P1 (1)
- total energy (eV/atom) = -6.745
- M_tot (μB/f.u.) = 0.50



Which of these has the lowest E_form?
Sr2DyTaO6



Which value of E_form does entry 6 give?
-0.374 eV/atom